# 1
# Fe43O64

A geometry-optimized Fe43O64 structure (PBE with a Hubbard U, the Materials Project).

Lattice parameters (Å, degrees): 8.530 8.530 17.060 90.25 90.25 90.40
Sites, in units of the cell vectors:
Fe (0.000, 0.000, 0.000)
Fe (0.005, 0.742, 0.122)
Fe (0.009, 0.760, 0.621)
Fe (0.118, 0.622, 0.936)
Fe (0.122, 0.614, 0.436)
Fe (0.133, 0.119, 0.190)
Fe (0.135, 0.124, 0.692)
Fe (0.240, 0.991, 0.379)
Fe (0.241, 0.238, 0.502)
Fe (0.244, 0.259, 0.006)
Fe (0.251, 0.500, 0.626)
Fe (0.254, 0.740, 0.244)
Fe (0.258, 0.995, 0.878)
Fe (0.260, 0.746, 0.756)
Fe (0.363, 0.370, 0.312)
Fe (0.370, 0.367, 0.815)
Fe (0.378, 0.882, 0.064)
Fe (0.386, 0.878, 0.564)
Fe (0.488, 0.512, 0.000)
Fe (0.500, 0.749, 0.374)
Fe (0.501, 0.264, 0.130)
Fe (0.502, 0.498, 0.500)
Fe (0.507, 0.009, 0.252)
Fe (0.511, 0.254, 0.631)
Fe (0.516, 0.001, 0.757)
Fe (0.621, 0.124, 0.442)
Fe (0.623, 0.135, 0.941)
Fe (0.630, 0.637, 0.688)
Fe (0.633, 0.630, 0.185)
Fe (0.736, 0.499, 0.870)
Fe (0.741, 0.756, 0.994)
Fe (0.746, 0.489, 0.369)
Fe (0.756, 0.009, 0.128)
Fe (0.762, 0.759, 0.498)
Fe (0.766, 0.013, 0.626)
Fe (0.865, 0.377, 0.059)
Fe (0.876, 0.379, 0.558)
Fe (0.876, 0.865, 0.308)
Fe (0.881, 0.867, 0.810)
Fe (0.987, 0.234, 0.374)
Fe (0.991, 0.244, 0.872)
Fe (0.991, 0.493, 0.748)
Fe (0.999, 0.484, 0.243)
O (0.008, 0.002, 0.368)
O (0.008, 0.251, 0.996)
O (0.009, 0.009, 0.872)
O (0.012, 0.507, 0.628)
O (0.014, 0.266, 0.493)
O (0.014, 0.736, 0.245)
O (0.016, 0.736, 0.741)
O (0.018, 0.262, 0.754)
O (0.019, 0.256, 0.257)
O (0.233, 0.761, 0.870)
O (0.236, 0.237, 0.881)
O (0.236, 0.512, 0.259)
O (0.239, 0.767, 0.130)
O (0.240, 0.234, 0.383)
O (0.246, 0.508, 0.745)
O (0.246, 0.741, 0.626)
O (0.250, 0.008, 0.995)
O (0.257, 0.492, 0.992)
O (0.259, 0.260, 0.620)
O (0.259, 0.754, 0.374)
O (0.262, 0.491, 0.504)
O (0.264, 0.231, 0.120)
O (0.264, 0.984, 0.259)
O (0.264, 0.986, 0.755)
O (0.270, 0.006, 0.496)
O (0.483, 0.239, 0.743)
O (0.484, 0.240, 0.248)
O (0.485, 0.264, 0.007)
O (0.487, 0.263, 0.506)
O (0.488, 0.764, 0.741)
O (0.491, 0.020, 0.871)
O (0.492, 0.754, 0.255)
O (0.493, 0.988, 0.372)
O (0.494, 0.496, 0.621)
O (0.504, 0.506, 0.379)
O (0.507, 0.483, 0.880)
O (0.508, 0.743, 0.008)
O (0.509, 0.738, 0.496)
O (0.513, 0.010, 0.133)
O (0.513, 0.014, 0.630)
O (0.517, 0.493, 0.120)
O (0.734, 0.986, 0.507)
O (0.736, 0.515, 0.993)
O (0.737, 0.237, 0.116)
O (0.737, 0.513, 0.494)
O (0.738, 0.982, 0.246)
O (0.740, 0.741, 0.380)
O (0.743, 0.245, 0.616)
O (0.744, 0.981, 0.743)
O (0.749, 0.992, 0.004)
O (0.755, 0.257, 0.384)
O (0.760, 0.516, 0.752)
O (0.761, 0.517, 0.257)
O (0.763, 0.263, 0.884)
O (0.763, 0.764, 0.119)
O (0.766, 0.760, 0.617)
O (0.769, 0.736, 0.880)
O (0.980, 0.509, 0.129)
O (0.986, 0.487, 0.370)
O (0.990, 0.487, 0.867)
O (0.991, 0.991, 0.128)
O (0.992, 0.750, 0.005)
O (0.994, 0.730, 0.504)
O (0.998, 0.992, 0.632)

Values from the calculation:
**Energy of formation from the pure elements**: -1.59 eV/atom


# 2
# Fe10O11

A geometry-optimized Fe10O11 structure (PBE with a Hubbard U, the Materials Project).

Lattice parameters (Å, degrees): 5.354 6.807 6.880 107.41 98.42 104.79
Sites, in units of the cell vectors:
Fe (0.060, 0.226, 0.404)
Fe (0.139, 0.670, 0.233)
Fe (0.235, 0.149, 0.056)
Fe (0.318, 0.586, 0.845)
Fe (0.415, 0.057, 0.684)
Fe (0.585, 0.943, 0.316)
Fe (0.682, 0.414, 0.155)
Fe (0.765, 0.851, 0.944)
Fe (0.861, 0.330, 0.767)
Fe (0.940, 0.774, 0.596)
O (0.051, 0.741, 0.924)
O (0.153, 0.174, 0.725)
O (0.214, 0.668, 0.555)
O (0.328, 0.075, 0.375)
O (0.406, 0.562, 0.164)
O (0.500, 0.000, 0.000)
O (0.594, 0.438, 0.836)
O (0.672, 0.925, 0.625)
O (0.786, 0.332, 0.445)
O (0.847, 0.826, 0.275)
O (0.949, 0.259, 0.076)

Values from the calculation:
**Relative energy among the computed polymorphs**: 64.4 kJ per mole of atoms
**Energy of formation from the pure elements**: -0.82 eV/atom


# 3
# Fe3O4

A geometry-optimized Fe3O4 structure (PBE with a Hubbard U, the Materials Project).

Lattice parameters (Å, degrees): 6.117 5.989 8.535 90.00 90.10 90.00
Sites, in units of the cell vectors:
Fe (0.000, 0.000, 0.000)
Fe (0.000, 0.500, 0.500)
Fe (0.246, 0.000, 0.375)
Fe (0.246, 0.500, 0.126)
Fe (0.254, 0.247, 0.751)
Fe (0.254, 0.753, 0.751)
Fe (0.500, 0.000, 0.000)
Fe (0.500, 0.500, 0.500)
Fe (0.746, 0.247, 0.249)
Fe (0.746, 0.753, 0.249)
Fe (0.754, 0.000, 0.625)
Fe (0.754, 0.500, 0.874)
O (0.009, 0.000, 0.761)
O (0.011, 0.500, 0.741)
O (0.238, 0.262, 0.507)
O (0.238, 0.738, 0.507)
O (0.239, 0.239, 0.994)
O (0.239, 0.761, 0.994)
O (0.491, 0.000, 0.745)
O (0.491, 0.500, 0.753)
O (0.509, 0.000, 0.255)
O (0.509, 0.500, 0.247)
O (0.761, 0.239, 0.006)
O (0.761, 0.761, 0.006)
O (0.762, 0.262, 0.493)
O (0.762, 0.738, 0.493)
O (0.989, 0.500, 0.259)
O (0.991, 0.000, 0.239)

Values from the calculation:
**Energy of formation from the pure elements**: -1.57 eV/atom


# 4
# Fe7O9

A geometry-optimized Fe7O9 structure (PBE with a Hubbard U, the Materials Project).

Lattice parameters (Å, degrees): 8.585 8.620 8.778 89.30 88.95 89.39
Sites, in units of the cell vectors:
Fe (0.000, 0.000, 0.000)
Fe (0.004, 0.774, 0.722)
Fe (0.126, 0.353, 0.895)
Fe (0.144, 0.835, 0.375)
Fe (0.244, 0.191, 0.513)
Fe (0.248, 0.469, 0.238)
Fe (0.275, 0.726, 0.994)
Fe (0.334, 0.115, 0.107)
Fe (0.375, 0.631, 0.646)
Fe (0.458, 0.226, 0.781)
Fe (0.509, 0.958, 0.551)
Fe (0.515, 0.682, 0.267)
Fe (0.616, 0.331, 0.414)
Fe (0.640, 0.861, 0.907)
Fe (0.699, 0.514, 0.765)
Fe (0.727, 0.224, 0.049)
Fe (0.774, 0.928, 0.279)
Fe (0.861, 0.562, 0.108)
Fe (0.883, 0.087, 0.606)
Fe (0.961, 0.478, 0.478)
Fe (0.998, 0.216, 0.268)
O (0.009, 0.981, 0.262)
O (0.013, 0.247, 0.497)
O (0.042, 0.680, 0.508)
O (0.162, 0.530, 0.024)
O (0.214, 0.944, 0.022)
O (0.221, 0.718, 0.781)
O (0.229, 0.267, 0.718)
O (0.236, 0.235, 0.279)
O (0.266, 0.969, 0.497)
O (0.274, 0.709, 0.246)
O (0.477, 0.195, 0.521)
O (0.484, 0.463, 0.299)
O (0.490, 0.464, 0.750)
O (0.492, 0.745, 0.483)
O (0.498, 0.742, 0.032)
O (0.512, 0.207, 0.007)
O (0.528, 0.988, 0.767)
O (0.725, 0.982, 0.492)
O (0.738, 0.705, 0.236)
O (0.754, 0.227, 0.269)
O (0.757, 0.436, 0.558)
O (0.767, 0.988, 0.041)
O (0.778, 0.716, 0.803)
O (0.780, 0.419, 0.946)
O (0.965, 0.991, 0.786)
O (0.990, 0.218, 0.038)
O (0.992, 0.454, 0.267)

Values from the calculation:
**Energy of formation from the pure elements**: -1.40 eV/atom


# 5
# Fe9O10

A geometry-optimized Fe9O10 structure (PBE with a Hubbard U, the Materials Project).

Lattice parameters (Å, degrees): 5.357 6.143 6.885 103.28 97.40 107.38
Sites, in units of the cell vectors:
Fe (0.000, 0.000, 0.000)
Fe (0.193, 0.889, 0.388)
Fe (0.201, 0.404, 0.386)
Fe (0.381, 0.795, 0.801)
Fe (0.407, 0.306, 0.804)
Fe (0.593, 0.694, 0.196)
Fe (0.619, 0.205, 0.199)
Fe (0.799, 0.596, 0.614)
Fe (0.807, 0.111, 0.612)
O (0.112, 0.946, 0.704)
O (0.122, 0.447, 0.684)
O (0.323, 0.330, 0.112)
O (0.331, 0.868, 0.098)
O (0.499, 0.234, 0.483)
O (0.501, 0.766, 0.517)
O (0.669, 0.132, 0.902)
O (0.677, 0.670, 0.888)
O (0.878, 0.553, 0.316)
O (0.888, 0.054, 0.296)

Values from the calculation:
**Energy of formation from the pure elements**: -1.50 eV/atom


# 6
# FeO

A geometry-optimized FeO structure (PBE with a Hubbard U, the Materials Project).

Lattice parameters (Å, degrees): 9.928 10.502 11.037 89.83 88.66 88.25
Sites, in units of the cell vectors:
Fe (0.000, 0.000, 0.000)
Fe (0.001, 0.883, 0.284)
Fe (0.030, 0.234, 0.794)
Fe (0.067, 0.805, 0.791)
Fe (0.068, 0.639, 0.035)
Fe (0.103, 0.307, 0.364)
Fe (0.139, 0.631, 0.316)
Fe (0.198, 0.223, 0.999)
Fe (0.215, 0.472, 0.827)
Fe (0.218, 0.101, 0.640)
Fe (0.232, 0.029, 0.162)
Fe (0.232, 0.822, 0.535)
Fe (0.249, 0.526, 0.572)
Fe (0.311, 0.045, 0.410)
Fe (0.330, 0.997, 0.854)
Fe (0.355, 0.505, 0.069)
Fe (0.381, 0.250, 0.255)
Fe (0.392, 0.734, 0.811)
Fe (0.431, 0.474, 0.368)
Fe (0.433, 0.237, 0.813)
Fe (0.472, 0.688, 0.515)
Fe (0.500, 0.824, 0.277)
Fe (0.505, 0.200, 0.519)
Fe (0.543, 0.933, 0.621)
Fe (0.560, 0.516, 0.724)
Fe (0.573, 0.965, 0.993)
Fe (0.586, 0.253, 0.077)
Fe (0.594, 0.680, 0.997)
Fe (0.722, 0.534, 0.497)
Fe (0.731, 0.767, 0.760)
Fe (0.735, 0.290, 0.345)
Fe (0.751, 0.295, 0.669)
Fe (0.771, 0.022, 0.233)
Fe (0.818, 0.519, 0.958)
Fe (0.826, 0.804, 0.083)
Fe (0.830, 0.057, 0.561)
Fe (0.865, 0.561, 0.242)
Fe (0.886, 0.788, 0.506)
Fe (0.917, 0.299, 0.113)
Fe (0.967, 0.545, 0.711)
O (0.079, 0.777, 0.439)
O (0.097, 0.616, 0.849)
O (0.100, 0.396, 0.711)
O (0.181, 0.167, 0.477)
O (0.200, 0.216, 0.201)
O (0.208, 0.010, 0.994)
O (0.210, 0.571, 0.159)
O (0.211, 0.910, 0.711)
O (0.217, 0.472, 0.409)
O (0.236, 0.181, 0.807)
O (0.303, 0.378, 0.952)
O (0.335, 0.933, 0.267)
O (0.344, 0.551, 0.722)
O (0.406, 0.645, 0.969)
O (0.413, 0.886, 0.490)
O (0.443, 0.101, 0.661)
O (0.477, 0.394, 0.151)
O (0.487, 0.653, 0.339)
O (0.491, 0.134, 0.974)
O (0.526, 0.287, 0.363)
O (0.531, 0.742, 0.682)
O (0.540, 0.490, 0.536)
O (0.595, 0.325, 0.765)
O (0.643, 0.898, 0.169)
O (0.691, 0.585, 0.844)
O (0.696, 0.838, 0.929)
O (0.719, 0.216, 0.514)
O (0.744, 0.893, 0.607)
O (0.746, 0.620, 0.103)
O (0.747, 0.201, 0.173)
O (0.822, 0.456, 0.629)
O (0.825, 0.654, 0.409)
O (0.871, 0.966, 0.395)
O (0.882, 0.163, 0.705)
O (0.916, 0.371, 0.295)
O (0.928, 0.729, 0.673)
O (0.975, 0.460, 0.038)
O (0.989, 0.721, 0.201)
O (0.991, 0.821, 0.966)
O (0.993, 0.185, 0.977)

Values from the calculation:
**Energy of formation from the pure elements**: -1.18 eV/atom


# 7
# Fe15O16

A geometry-optimized Fe15O16 structure (PBE with a Hubbard U, the Materials Project).

Lattice parameters (Å, degrees): 10.891 10.891 10.891 33.16 33.16 33.16
Sites, in units of the cell vectors:
Fe (0.000, 0.000, 0.000)
Fe (0.000, 0.500, 0.500)
Fe (0.180, 0.180, 0.180)
Fe (0.247, 0.749, 0.749)
Fe (0.251, 0.251, 0.753)
Fe (0.251, 0.753, 0.251)
Fe (0.259, 0.259, 0.259)
Fe (0.500, 0.000, 0.500)
Fe (0.500, 0.500, 0.000)
Fe (0.500, 0.500, 0.500)
Fe (0.741, 0.741, 0.741)
Fe (0.749, 0.247, 0.749)
Fe (0.749, 0.749, 0.247)
Fe (0.753, 0.251, 0.251)
Fe (0.820, 0.820, 0.820)
O (0.116, 0.629, 0.629)
O (0.119, 0.119, 0.119)
O (0.127, 0.127, 0.626)
O (0.127, 0.626, 0.127)
O (0.371, 0.371, 0.884)
O (0.371, 0.884, 0.371)
O (0.374, 0.873, 0.873)
O (0.375, 0.375, 0.375)
O (0.625, 0.625, 0.625)
O (0.626, 0.127, 0.127)
O (0.629, 0.116, 0.629)
O (0.629, 0.629, 0.116)
O (0.873, 0.374, 0.873)
O (0.873, 0.873, 0.374)
O (0.881, 0.881, 0.881)
O (0.884, 0.371, 0.371)

Values from the calculation:
**Relative energy among the computed polymorphs**: 0.7 kJ per mole of atoms
**Energy of formation from the pure elements**: -1.43 eV/atom


# 8
# Fe3O4

A geometry-optimized Fe3O4 structure (PBE with a Hubbard U, the Materials Project).

Lattice parameters (Å, degrees): 6.104 6.017 8.524 90.00 90.44 90.00
Sites, in units of the cell vectors:
Fe (0.000, 0.000, 0.000)
Fe (0.000, 0.500, 0.500)
Fe (0.245, 0.000, 0.624)
Fe (0.250, 0.247, 0.249)
Fe (0.250, 0.753, 0.249)
Fe (0.255, 0.500, 0.873)
Fe (0.500, 0.000, 0.000)
Fe (0.500, 0.500, 0.500)
Fe (0.745, 0.500, 0.127)
Fe (0.750, 0.247, 0.751)
Fe (0.750, 0.753, 0.751)
Fe (0.755, 0.000, 0.376)
O (0.008, 0.000, 0.244)
O (0.008, 0.500, 0.258)
O (0.238, 0.260, 0.493)
O (0.238, 0.740, 0.493)
O (0.261, 0.242, 0.008)
O (0.261, 0.758, 0.008)
O (0.488, 0.500, 0.254)
O (0.496, 0.000, 0.240)
O (0.504, 0.000, 0.760)
O (0.512, 0.500, 0.746)
O (0.739, 0.242, 0.992)
O (0.739, 0.758, 0.992)
O (0.762, 0.260, 0.507)
O (0.762, 0.740, 0.507)
O (0.992, 0.000, 0.756)
O (0.992, 0.500, 0.742)

Values from the calculation:
**Energy of formation from the pure elements**: -1.57 eV/atom


# 9
# FeO

A geometry-optimized FeO structure (PBE with a Hubbard U, the Materials Project).

Lattice parameters (Å, degrees): 5.308 5.308 10.604 90.00 90.00 120.00
Sites, in units of the cell vectors:
Fe (0.007, 0.334, 0.125)
Fe (0.007, 0.334, 0.375)
Fe (0.327, 0.993, 0.125)
Fe (0.327, 0.993, 0.375)
Fe (0.334, 0.007, 0.625)
Fe (0.334, 0.007, 0.875)
Fe (0.666, 0.673, 0.125)
Fe (0.666, 0.673, 0.375)
Fe (0.673, 0.666, 0.625)
Fe (0.673, 0.666, 0.875)
Fe (0.993, 0.327, 0.625)
Fe (0.993, 0.327, 0.875)
O (0.000, 0.000, 0.000)
O (0.000, 0.000, 0.500)
O (0.011, 0.676, 0.250)
O (0.324, 0.335, 0.250)
O (0.333, 0.667, 0.514)
O (0.333, 0.667, 0.986)
O (0.335, 0.324, 0.750)
O (0.665, 0.989, 0.250)
O (0.667, 0.333, 0.014)
O (0.667, 0.333, 0.486)
O (0.676, 0.011, 0.750)
O (0.989, 0.665, 0.750)

Values from the calculation:
**Energy of formation from the pure elements**: -1.38 eV/atom